No. 1
DFT (PBE) results for an optimized crystal structure of GaSn3.

POSCAR file:
```
GaSn3
1.0
2.655 -3.588 3.854
4.435 2.646 2.848
-5.628 1.444 -1.011
Sn Ga
3 1
Cartesian
0.286 -1.308 3.097
1.176 1.809 2.594
3.545 -0.471 3.351
0.000 0.000 0.000
```

=====

No. 2
DFT (PBE) results for an optimized crystal structure of GaSn3.

## Properties
Size of the total moment = 0.0 μB per formula unit

POSCAR file:
```
GaSn3
1.0
4.637 -2.188 1.087
0.601 -2.833 4.368
0.580 -5.200 -0.308
Sn Ga
3 1
Cartesian
4.363 -7.666 3.860
1.454 -2.555 1.287
2.909 -5.111 2.573
0.000 0.000 0.000
```

=====

No. 3
DFT (PBE) results for an optimized crystal structure of GaSn3.

POSCAR file:
```
GaSn3
1.0
3.292 -5.702 0.000
3.292 5.702 0.000
0.000 0.000 5.518
Sn Ga
6 2
Cartesian
4.914 0.964 1.380
1.670 -0.964 4.139
3.292 3.773 1.380
3.292 -3.773 4.139
1.670 0.964 1.380
4.914 -0.964 4.139
3.292 1.901 4.139
3.292 -1.901 1.380
```

=====

No. 4
DFT (PBE) results for an optimized crystal structure of Ga3Sn.

POSCAR file:
```
Ga3Sn
1.0
-4.151 -0.409 -1.455
0.780 -4.223 -1.038
-1.295 -1.232 4.040
Ga Sn
3 1
Cartesian
-2.723 -0.821 1.292
-0.258 -2.728 1.501
-1.686 -2.316 -1.247
0.000 0.000 0.000
```

=====

Number 1: energy of formation from the pure elements 51.1 meV/atom. Number 2: energy of formation from the pure elements 78.9 meV/atom. Number 3: energy of formation from the pure elements 63.6 meV/atom. Number 4: energy of formation from the pure elements 45.1 meV/atom.